Computed, not measured: a relaxed structure of NaDy3Ti2Sb2O14 at the PBE level of DFT.

Calculated values
- Total energy: -7.6425 eV/atom
- Space group: P2/c (13)
- Energy relative to the elements: -3.15 eV per atom

Cell and atoms, written as POSCAR:
```
NaDy3Ti2Sb2O14
1.0
-1.222 -5.267 -4.891
6.433 -3.039 1.666
1.794 -8.708 8.929
Na Dy Ti Sb O
2 6 4 4 28
direct
0.000 0.500 0.500 Na
0.000 0.500 0.000 Na
0.227 0.000 0.750 Dy
0.246 0.500 0.750 Dy
0.773 0.000 0.250 Dy
0.500 0.500 0.500 Dy
0.754 0.500 0.250 Dy
0.500 0.500 0.000 Dy
0.263 0.000 0.250 Ti
0.500 0.000 0.000 Ti
0.737 0.000 0.750 Ti
0.500 0.000 0.500 Ti
0.255 0.500 0.250 Sb
0.000 0.000 0.500 Sb
0.745 0.500 0.750 Sb
0.000 0.000 0.000 Sb
0.264 0.635 0.867 O
0.048 0.057 0.133 O
0.270 0.676 0.324 O
0.736 0.635 0.367 O
0.043 0.669 0.129 O
0.554 0.076 0.621 O
0.043 0.331 0.371 O
0.952 0.057 0.633 O
0.749 0.078 0.421 O
0.730 0.676 0.824 O
0.251 0.922 0.579 O
0.543 0.674 0.623 O
0.048 0.943 0.367 O
0.957 0.669 0.629 O
0.957 0.331 0.871 O
0.446 0.076 0.121 O
0.543 0.326 0.877 O
0.251 0.078 0.921 O
0.730 0.324 0.676 O
0.264 0.365 0.633 O
0.749 0.922 0.079 O
0.952 0.943 0.867 O
0.554 0.924 0.879 O
0.457 0.674 0.123 O
0.457 0.326 0.377 O
0.736 0.365 0.133 O
0.270 0.324 0.176 O
0.446 0.924 0.379 O
```